(1)
A plane-wave DFT calculation with GGA-PBE was carried out for MgAl2Cu2O6 after structural relaxation.

a = 2.946 Å, b = 2.946 Å, c = 14.876 Å
α = 90.00°, β = 90.00°, γ = 120.00°
Positions (direct):
Mg1 0.000 0.000 0.000
Al1 0.333 0.667 0.360
Al2 0.333 0.667 0.825
Cu1 0.000 0.000 0.560
Cu2 0.667 0.333 0.166
O1 0.000 0.000 0.424
O2 0.000 0.000 0.782
O3 0.333 0.667 0.080
O4 0.333 0.667 0.608
O5 0.667 0.333 0.295
O6 0.667 0.333 0.917

Calculated values
The total magnetization comes out at 0.295 Bohr magnetons per cell. As for the space-group type: P3m1. The polymorph energy (0 for the lowest one) is 0.0 meV/atom. Its energy relative to the elements is -24.848 eV/f.u. The calculated total energy comes out at -67.7 eV for the cell shown.



(2)
A plane-wave DFT calculation with GGA-PBE was carried out for MgAl2Cu4O8 after structural relaxation.

a = 6.153 Å, b = 6.153 Å, c = 6.153 Å
α = 60.06°, β = 60.06°, γ = 60.06°
Positions (direct):
Mg1 0.000 0.000 0.000
Al1 0.501 0.501 0.501
Al2 0.750 0.750 0.750
Cu1 0.148 0.148 0.148
Cu2 0.149 0.149 0.558
Cu3 0.149 0.558 0.149
Cu4 0.558 0.149 0.149
O1 0.380 0.380 0.380
O2 0.380 0.380 0.863
O3 0.380 0.863 0.380
O4 0.384 0.872 0.872
O5 0.863 0.380 0.380
O6 0.872 0.384 0.872
O7 0.872 0.872 0.384
O8 0.872 0.872 0.872

Calculated values
The total magnetization comes out at 3.990 Bohr magnetons per cell. As for the space-group type: R3m. The polymorph energy (0 for the lowest one) is 261.7 meV/atom. Its energy relative to the elements is -21.864 eV/f.u. The calculated total energy comes out at -81.4 eV for the cell shown.



(3)
A plane-wave DFT calculation with GGA-PBE was carried out for MgAl2Cu2O6 after structural relaxation.

a = 3.067 Å, b = 3.067 Å, c = 14.784 Å
α = 90.00°, β = 90.00°, γ = 120.00°
Positions (direct):
Mg1 0.000 0.000 0.000
Al1 0.000 0.000 0.390
Al2 0.000 0.000 0.773
Cu1 0.333 0.667 0.587
Cu2 0.667 0.333 0.192
O1 0.000 0.000 0.141
O2 0.000 0.000 0.650
O3 0.333 0.667 0.454
O4 0.333 0.667 0.794
O5 0.667 0.333 0.328
O6 0.667 0.333 0.957

Calculated values
The total magnetization comes out at 1.570 Bohr magnetons per cell. As for the space-group type: P3m1. The polymorph energy (0 for the lowest one) is 72.0 meV/atom. Its energy relative to the elements is -24.056 eV/f.u. The calculated total energy comes out at -66.9 eV for the cell shown.



(4)
A plane-wave DFT calculation with GGA-PBE was carried out for Mg30AlCuO32 after structural relaxation.

a = 8.511 Å, b = 8.511 Å, c = 8.505 Å
α = 90.00°, β = 90.00°, γ = 90.00°
Positions (direct):
Mg1 0.000 0.000 0.000
Mg2 0.000 0.247 0.252
Mg3 0.000 0.247 0.748
Mg4 0.000 0.500 0.000
Mg5 0.000 0.500 0.500
Mg6 0.000 0.753 0.252
Mg7 0.000 0.753 0.748
Mg8 0.246 0.246 0.500
Mg9 0.246 0.754 0.500
Mg10 0.247 0.000 0.252
Mg11 0.247 0.000 0.748
Mg12 0.248 0.500 0.250
Mg13 0.248 0.500 0.750
Mg14 0.249 0.249 0.000
Mg15 0.249 0.751 0.000
Mg16 0.500 0.000 0.000
Mg17 0.500 0.000 0.500
Mg18 0.500 0.248 0.250
Mg19 0.500 0.248 0.750
Mg20 0.500 0.500 0.000
Mg21 0.500 0.752 0.250
Mg22 0.500 0.752 0.750
Mg23 0.751 0.249 0.000
Mg24 0.751 0.751 0.000
Mg25 0.752 0.500 0.250
Mg26 0.752 0.500 0.750
Mg27 0.753 0.000 0.252
Mg28 0.753 0.000 0.748
Mg29 0.754 0.246 0.500
Mg30 0.754 0.754 0.500
Al1 0.500 0.500 0.500
Cu1 0.000 0.000 0.500
O1 0.000 0.000 0.238
O2 0.000 0.000 0.762
O3 0.000 0.252 0.000
O4 0.000 0.266 0.500
O5 0.000 0.500 0.250
O6 0.000 0.500 0.750
O7 0.000 0.734 0.500
O8 0.000 0.748 0.000
O9 0.250 0.250 0.250
O10 0.250 0.250 0.750
O11 0.250 0.750 0.250
O12 0.250 0.750 0.750
O13 0.252 0.000 0.000
O14 0.253 0.500 0.000
O15 0.266 0.000 0.500
O16 0.267 0.500 0.500
O17 0.500 0.000 0.250
O18 0.500 0.000 0.750
O19 0.500 0.253 0.000
O20 0.500 0.267 0.500
O21 0.500 0.500 0.264
O22 0.500 0.500 0.736
O23 0.500 0.733 0.500
O24 0.500 0.747 0.000
O25 0.733 0.500 0.500
O26 0.734 0.000 0.500
O27 0.747 0.500 0.000
O28 0.748 0.000 0.000
O29 0.750 0.250 0.250
O30 0.750 0.250 0.750
O31 0.750 0.750 0.250
O32 0.750 0.750 0.750

Calculated values
The total magnetization comes out at 0.000 Bohr magnetons per cell. As for the space-group type: P4/mmm. Its energy relative to the elements is -191.008 eV/f.u. The calculated total energy comes out at -383.2 eV for the cell shown.



(5)
A plane-wave DFT calculation with GGA-PBE was carried out for Mg4Al9CuSi9O36 after structural relaxation.

a = 9.832 Å, b = 9.480 Å, c = 9.884 Å
α = 90.00°, β = 119.62°, γ = 90.00°
Positions (direct):
Mg1 0.161 0.000 0.322
Mg2 0.162 0.496 0.324
Mg3 0.838 0.496 0.676
Mg4 0.839 0.000 0.678
Al1 0.000 0.000 0.000
Al2 0.000 0.002 0.500
Al3 0.000 0.495 0.500
Al4 0.141 0.750 0.899
Al5 0.243 0.248 0.105
Al6 0.500 0.499 0.500
Al7 0.500 0.999 0.500
Al8 0.757 0.248 0.895
Al9 0.859 0.750 0.101
Cu1 0.500 0.762 0.000
Si1 0.000 0.497 0.000
Si2 0.125 0.248 0.730
Si3 0.231 0.748 0.617
Si4 0.385 0.250 0.616
Si5 0.400 0.750 0.273
Si6 0.600 0.750 0.727
Si7 0.615 0.250 0.384
Si8 0.769 0.748 0.383
Si9 0.875 0.248 0.270
O1 0.013 0.390 0.653
O2 0.014 0.108 0.652
O3 0.016 0.891 0.862
O4 0.029 0.595 0.879
O5 0.148 0.402 0.127
O6 0.148 0.607 0.510
O7 0.150 0.890 0.513
O8 0.155 0.103 0.140
O9 0.206 0.248 0.914
O10 0.227 0.745 0.779
O11 0.251 0.251 0.667
O12 0.318 0.754 0.084
O13 0.355 0.390 0.503
O14 0.359 0.106 0.512
O15 0.362 0.606 0.343
O16 0.363 0.889 0.347
O17 0.413 0.748 0.659
O18 0.441 0.259 0.240
O19 0.559 0.259 0.760
O20 0.587 0.748 0.341
O21 0.637 0.889 0.653
O22 0.638 0.606 0.657
O23 0.641 0.106 0.488
O24 0.645 0.390 0.497
O25 0.682 0.754 0.916
O26 0.749 0.251 0.333
O27 0.773 0.745 0.221
O28 0.794 0.248 0.086
O29 0.845 0.103 0.860
O30 0.850 0.890 0.487
O31 0.852 0.402 0.873
O32 0.852 0.607 0.490
O33 0.971 0.595 0.121
O34 0.984 0.891 0.138
O35 0.986 0.108 0.348
O36 0.987 0.390 0.347

Calculated values
The total magnetization comes out at 0.005 Bohr magnetons per cell. As for the space-group type: P2. Its energy relative to the elements is -191.184 eV/f.u. The calculated total energy comes out at -437.6 eV for the cell shown.



(6)
A plane-wave DFT calculation with GGA-PBE was carried out for MgAlCu3Se4 after structural relaxation.

a = 5.785 Å, b = 5.785 Å, c = 5.785 Å
α = 90.00°, β = 90.00°, γ = 90.00°
Positions (direct):
Mg1 0.000 0.000 0.000
Al1 0.500 0.500 0.500
Cu1 0.000 0.500 0.500
Cu2 0.500 0.000 0.500
Cu3 0.500 0.500 0.000
Se1 0.258 0.258 0.742
Se2 0.258 0.742 0.258
Se3 0.742 0.258 0.258
Se4 0.742 0.742 0.742

Calculated values
The total magnetization comes out at 0.006 Bohr magnetons per cell. As for the space-group type: P-43m. Its energy relative to the elements is -5.840 eV/f.u. The calculated total energy comes out at -35.6 eV for the cell shown.



(7)
A plane-wave DFT calculation with GGA-PBE was carried out for Mn2AlCu3 after structural relaxation.

a = 4.851 Å, b = 4.851 Å, c = 4.851 Å
α = 59.78°, β = 59.78°, γ = 59.78°
Positions (direct):
Mn1 0.126 0.126 0.126
Mn2 0.874 0.874 0.874
Al1 0.500 0.500 0.500
Cu1 0.000 0.500 0.500
Cu2 0.500 0.000 0.500
Cu3 0.500 0.500 0.000

Calculated values
The total magnetization comes out at 7.406 Bohr magnetons per cell. As for the space-group type: R-3m. Its energy relative to the elements is 0.225 eV/f.u. The calculated total energy comes out at -34.1 eV for the cell shown.



(8)
A plane-wave DFT calculation with GGA-PBE was carried out for MnAlCu2 after structural relaxation.

a = 4.187 Å, b = 4.187 Å, c = 4.187 Å
α = 60.00°, β = 60.00°, γ = 60.00°
Positions (direct):
Mn1 0.000 0.000 0.000
Al1 0.500 0.500 0.500
Cu1 0.250 0.250 0.250
Cu2 0.750 0.750 0.750

Calculated values
The total magnetization comes out at 3.502 Bohr magnetons per cell. As for the space-group type: Fm-3m. Its energy relative to the elements is -0.523 eV/f.u. The calculated total energy comes out at -21.6 eV for the cell shown.



Q: Which formula does entry 3 have?
A: MgAl2Cu2O6